Compound: Li2Cr2H4O9
Source: the Materials Project database
Functional: GGA+U
Structure: relaxed

Properties
energy above the most stable polymorph in this dataset	0	meV/atom
space group	C2/c (15)
formation enthalpy at 0 K	-1669	meV/atom

Cell: 5.4665 5.4665 12.9730 Å, 85.58 85.58 91.71°
Last column: nearest neighbours and their distance in Å.
Sites, in units of the cell vectors:
Li 0.5000 0.0000 0.5000  6 O 2.10-2.20
O 0.7340 0.7461 0.4166  1 Cr 1.63
Li 0.7772 0.2228 0.2500  3 O 2.01-2.02
O 0.1919 0.7859 0.0612  1 Cr 1.62
Cr 0.9890 0.2609 0.6401  4 O 1.62-1.81
H 0.2989 0.3661 0.8495  1 O 0.98
O 0.2141 0.8081 0.4388  1 Cr 1.62
O 0.9655 0.0345 0.7500  2 Cr 1.81, 1 Li 2.02
Cr 0.0110 0.7391 0.3599  4 O 1.62-1.81
H 0.3661 0.2989 0.3495  1 O 0.98
O 0.5324 0.2688 0.3704  2 H 0.98-0.99
O 0.4668 0.0581 0.8190  1 Cr 1.64
O 0.5332 0.9419 0.1810  1 Cr 1.64
Cr 0.2609 0.9890 0.1401  4 O 1.62-1.81
O 0.0345 0.9655 0.2500  2 Cr 1.81, 1 Li 2.02
O 0.7461 0.7340 0.9166  1 Cr 1.63
H 0.5786 0.4192 0.0990  1 O 0.99
O 0.9419 0.5332 0.6810  1 Cr 1.64
O 0.7859 0.1919 0.5612  1 Cr 1.62
O 0.8081 0.2141 0.9388  1 Cr 1.62
O 0.2539 0.2660 0.0834  1 Cr 1.63
H 0.4214 0.5808 0.9010  1 O 0.99
H 0.5808 0.4214 0.4010  1 O 0.99
H 0.4192 0.5786 0.5990  1 O 0.99
O 0.7312 0.4676 0.1296  2 H 0.98-0.99
O 0.0581 0.4668 0.3190  1 Cr 1.64
O 0.4676 0.7312 0.6296  2 H 0.98-0.99
Li 0.2228 0.7772 0.7500  3 O 2.01-2.02
H 0.6339 0.7011 0.6505  1 O 0.98
H 0.7011 0.6339 0.1505  1 O 0.98
O 0.2688 0.5324 0.8704  2 H 0.98-0.99
O 0.2660 0.2539 0.5834  1 Cr 1.63
Cr 0.7391 0.0110 0.8599  4 O 1.62-1.81
Li 0.0000 0.5000 0.0000  6 O 2.10-2.20

***

Compound: Li2Cr2P4H3O16
Source: the Materials Project database
Functional: GGA+U
Structure: relaxed

Properties
space group	P1 (1)
formation enthalpy at 0 K	-2336	meV/atom

Cell: 4.9025 7.4710 8.0737 Å, 89.95 90.88 103.49°
Last column: nearest neighbours and their distance in Å.
Sites, in units of the cell vectors:
O 0.1794 0.3732 0.1702  1 P 1.55
O 0.2540 0.0626 0.0531  1 H 1.53, 1 P 1.54
O 0.1296 0.8429 0.4487  1 P 1.51
O 0.2537 0.4410 0.5761  1 H 0.98
O 0.0031 0.2973 0.8328  1 P 1.55
O 0.6644 0.8670 0.3182  1 P 1.55
Cr 0.9993 0.4987 0.0014  6 O 1.95-2.04
O 0.9878 0.7009 0.1683  1 P 1.54
O 0.8671 0.1587 0.5513  1 P 1.52
O 0.7394 0.5626 0.4281  1 H 0.98
O 0.5469 0.8151 0.6700  1 P 1.51
O 0.6363 0.3425 0.0600  1 P 1.57
Li 0.5900 0.1524 0.8750  5 O 1.98-2.19
O 0.3670 0.6609 0.9437  1 P 1.55
H 0.5506 0.5098 0.3821  1 O 0.98
P 0.1107 0.2532 0.6622  4 O 1.52-1.58
P 0.6241 0.7554 0.8403  4 O 1.51-1.60
P 0.3726 0.2368 0.1571  4 O 1.53-1.57
P 0.8850 0.7489 0.3388  4 O 1.51-1.59
O 0.3325 0.1358 0.6812  1 P 1.55
Cr 0.4988 0.0013 0.5000  6 O 1.95-2.06
O 0.8283 0.6294 0.8295  1 P 1.53
Li 0.3934 0.8481 0.1282  4 O 1.97-2.07
H 0.9566 0.9793 0.9865  1 O 1.04
H 0.4559 0.4820 0.6013  1 O 0.98
O 0.7493 0.9375 0.9464  1 H 1.04
O 0.4507 0.1894 0.3336  1 P 1.53

***

Compound: LiCrP2HO7
Source: the Materials Project database
Functional: GGA+U
Structure: relaxed

Properties
space group	P-1 (2)
formation enthalpy at 0 K	-2425	meV/atom

Cell: 7.0273 6.4395 6.5883 Å, 69.96 88.24 97.37°
Last column: nearest neighbours and their distance in Å.
Sites, in units of the cell vectors:
O 0.2535 0.6257 0.9775  2 P 1.60-1.64
O 0.5855 0.7741 0.0542  1 P 1.54
O 0.4145 0.2259 0.9458  1 P 1.54
P 0.6108 0.3524 0.8305  4 O 1.51-1.64
O 0.7465 0.3743 0.0225  2 P 1.60-1.64
Li 0.8585 0.7896 0.1419  2 O 1.99-2.02
O 0.3145 0.9636 0.6247  1 P 1.52
O 0.0035 0.1265 0.1490  1 P 1.52
Cr 0.6481 0.8979 0.7150  4 O 2.04-2.11
H 0.8333 0.3462 0.4917  1 O 1.03
O 0.9965 0.8735 0.8510  1 P 1.52
O 0.6855 0.0364 0.3753  1 P 1.52
O 0.2857 0.7782 0.2849  1 P 1.54, 1 H 1.57
P 0.1608 0.7812 0.7724  4 O 1.52-1.60
Li 0.1415 0.2105 0.8581  2 O 1.99-2.02
P 0.8392 0.2188 0.2276  4 O 1.52-1.60
H 0.1667 0.6538 0.5083  1 O 1.03
O 0.3909 0.4090 0.3152  1 P 1.51
O 0.0931 0.6051 0.6591  1 H 1.03
P 0.3892 0.6476 0.1695  4 O 1.51-1.64
O 0.6091 0.5910 0.6848  1 P 1.51
O 0.7143 0.2218 0.7151  1 P 1.54, 1 H 1.57
O 0.9070 0.3949 0.3409  1 H 1.03
Cr 0.3519 0.1021 0.2850  4 O 2.04-2.11

***

Compound: LiCr3P3H2O12
Source: the Materials Project database
Functional: GGA+U
Structure: relaxed

Properties
space group	C2/c (15)
formation enthalpy at 0 K	-2325	meV/atom

Cell: 8.7892 8.7892 6.6002 Å, 72.55 72.55 88.64°
Last column: nearest neighbours and their distance in Å.
Sites, in units of the cell vectors:
O 0.8552 0.8544 0.5862  1 P 1.56
O 0.3239 0.9808 0.1130  1 P 1.54
O 0.9808 0.3239 0.6130  1 P 1.54
P 0.3228 0.1049 0.8915  4 O 1.54-1.58
O 0.7793 0.2802 0.0400  1 P 1.56
H 0.6248 0.6242 0.1826  1 O 1.12
P 0.6772 0.8951 0.1085  4 O 1.54-1.58
O 0.5701 0.7419 0.1442  1 H 1.12
P 0.6769 0.3231 0.2500  4 O 1.55-1.56
Cr 0.3740 0.0540 0.3631  5 O 2.10-2.22
Li 0.0148 0.9852 0.7500  2 O 2.21
Cr 0.2782 0.7218 0.2500  4 O 2.13-2.18
Li 0.9852 0.0148 0.2500  2 O 2.21
Cr 0.0540 0.3740 0.8631  5 O 2.10-2.22
O 0.7073 0.5014 0.2269  1 H 1.29
O 0.7198 0.2207 0.4600  1 P 1.56
O 0.6048 0.9634 0.3035  1 P 1.54
P 0.1049 0.3228 0.3915  4 O 1.54-1.58
H 0.3758 0.3752 0.3174  1 O 1.12
P 0.8951 0.6772 0.6085  4 O 1.54-1.58
O 0.8544 0.8552 0.0862  1 P 1.56
O 0.2581 0.4299 0.3558  1 H 1.12
O 0.0192 0.6761 0.3870  1 P 1.54
O 0.2207 0.7198 0.9600  1 P 1.56
Cr 0.9460 0.6260 0.1369  5 O 2.10-2.22
O 0.2927 0.4986 0.7731  1 H 1.29
O 0.9634 0.6048 0.8035  1 P 1.54
O 0.4986 0.2927 0.2731  1 H 1.29
O 0.1448 0.1456 0.4138  1 P 1.56
O 0.0366 0.3952 0.1965  1 P 1.54
O 0.3952 0.0366 0.6965  1 P 1.54
H 0.3752 0.3758 0.8174  1 O 1.12
O 0.5014 0.7073 0.7269  1 H 1.29
O 0.2802 0.7793 0.5400  1 P 1.56
P 0.3231 0.6769 0.7500  4 O 1.55-1.56
O 0.6761 0.0192 0.8870  1 P 1.54
O 0.7419 0.5701 0.6442  1 H 1.12
H 0.6242 0.6248 0.6826  1 O 1.12
Cr 0.7218 0.2782 0.7500  4 O 2.13-2.18
Cr 0.6260 0.9460 0.6369  5 O 2.10-2.22
O 0.1456 0.1448 0.9138  1 P 1.56
O 0.4299 0.2581 0.8558  1 H 1.12

***

Compound: Li3Cr4PH3O16
Source: the Materials Project database
Functional: GGA+U
Structure: relaxed

Properties
space group	Cm (8)
formation enthalpy at 0 K	-1420	meV/atom

Cell: 7.9340 7.9340 7.8190 Å, 77.67 77.67 101.41°
Last column: nearest neighbours and their distance in Å.
Sites, in units of the cell vectors:
H 0.3613 0.3613 0.1888  1 Li 2.16
O 0.4513 0.4513 0.7673  1 Cr 1.63
O 0.5085 0.7639 0.0178  1 Cr 1.63
O 0.7639 0.5085 0.0178  1 Cr 1.63
O 0.2411 0.4563 0.5458  1 Cr 1.63
H 0.8354 0.3834 0.6226  1 Li 2.28
O 0.9898 0.7699 0.5174  1 Cr 1.64
O 0.1122 0.1122 0.4848  1 Cr 1.60
P 0.0066 0.0066 0.9967  4 O 1.53-1.54
O 0.1518 0.1518 0.8483  1 P 1.53
Li 0.6324 0.1326 0.6311  3 O 1.94-1.99
O 0.1081 0.5209 0.8919  1 Cr 1.64
O 0.5209 0.1081 0.8919  1 Cr 1.64
H 0.3834 0.8354 0.6226  1 Li 2.28
Li 0.5475 0.5475 0.9490  3 O 1.97, 1 H 2.16
O 0.0298 0.8236 0.9726  1 P 1.54
O 0.4563 0.2411 0.5458  1 Cr 1.63
O 0.4959 0.9762 0.2415  1 Cr 1.61
Li 0.1326 0.6324 0.6311  3 O 1.94-1.99
O 0.9762 0.4959 0.2415  1 Cr 1.61
O 0.7699 0.9898 0.5174  1 Cr 1.64
O 0.0265 0.0265 0.1832  1 P 1.54
Cr 0.5771 0.9647 0.0389  3 O 1.61-1.64
O 0.8236 0.0298 0.9726  1 P 1.54
Cr 0.9714 0.9714 0.4335  3 O 1.60-1.64
Cr 0.3291 0.3291 0.6736  3 O 1.63
Cr 0.9647 0.5771 0.0389  3 O 1.61-1.64

***

Compound: Li3Cr2P4HO14
Source: the Materials Project database
Functional: GGA+U
Structure: relaxed

Properties
energy above the most stable polymorph in this dataset	605	meV/atom
space group	P-1 (2)
formation enthalpy at 0 K	-1892	meV/atom

Cell: 5.1950 5.2646 12.4732 Å, 100.66 90.35 117.80°
Last column: nearest neighbours and their distance in Å.
Sites, in units of the cell vectors:
Li 0.2065 0.8180 0.9969  1 O 1.79
O 0.4445 0.6786 0.5219  1 H 1.10
O 0.8641 0.2320 0.3716  1 P 1.52
O 0.5555 0.3214 0.4781  1 H 1.10
Cr 0.8024 0.0372 0.2370  2 O 1.74-1.86
O 0.9027 0.7426 0.3508  1 P 1.63
P 0.5327 0.5715 0.8565  2 O 1.47-1.48
O 0.1359 0.7680 0.6284  1 P 1.52
P 0.7084 0.4150 0.3744  3 O 1.52-1.63
O 0.5606 0.6585 0.7250  2 P 1.71-1.77
O 0.5638 0.7618 0.1144  1 P 1.70, 1 Cr 1.86
O 0.0973 0.2574 0.6492  1 P 1.63
Li 0.7935 0.1820 0.0031  1 O 1.79
O 0.4362 0.2382 0.8856  1 P 1.70, 1 Cr 1.86
P 0.2916 0.5850 0.6256  3 O 1.52-1.63
H 0.5000 0.5000 0.5000  2 O 1.10
P 0.4673 0.4285 0.1435  2 O 1.47-1.48
Li 0.0000 0.0000 0.5000  2 O 1.99
Cr 0.1976 0.9628 0.7630  2 O 1.74-1.86
O 0.3023 0.6581 0.8748  1 P 1.47
O 0.6977 0.3419 0.1252  1 P 1.47
O 0.1619 0.2520 0.0928  1 P 1.48
O 0.8381 0.7480 0.9072  1 P 1.48
O 0.4394 0.3415 0.2750  2 P 1.71-1.77

***

Compound: Li4CrP6H8O22
Source: the Materials Project database
Functional: GGA+U
Structure: relaxed

Properties
energy above the most stable polymorph in this dataset	0	meV/atom
space group	P-1 (2)
formation enthalpy at 0 K	-2216	meV/atom

Cell: 7.0471 7.5688 8.4721 Å, 85.45 77.35 84.11°
Last column: nearest neighbours and their distance in Å.
Sites, in units of the cell vectors:
O 0.2421 0.9100 0.4731  2 P 1.62-1.63
P 0.2200 0.0216 0.3050  4 O 1.50-1.63
P 0.5542 0.7813 0.1684  4 O 1.49-1.64
P 0.3394 0.7081 0.4949  4 O 1.49-1.62
O 0.0695 0.9422 0.2366  1 P 1.51
O 0.0212 0.5249 0.1965  2 H 0.98
O 0.6048 0.3160 0.3446  1 P 1.49, 1 H 1.58
H 0.9688 0.6096 0.1191  1 O 0.98
H 0.7279 0.2681 0.0048  1 O 1.00
P 0.4458 0.2187 0.8316  4 O 1.49-1.64
O 0.5409 0.7126 0.3583  2 P 1.62-1.64
Li 0.0711 0.3497 0.5817  3 O 2.06-2.19
H 0.7436 0.2374 0.1882  1 O 1.01
P 0.7800 0.9784 0.6950  4 O 1.50-1.63
O 0.1766 0.7740 0.9253  2 H 1.00-1.01
H 0.2564 0.7626 0.8118  1 O 1.01
P 0.6606 0.2919 0.5051  4 O 1.49-1.62
H 0.9689 0.4126 0.1860  1 O 0.98
O 0.4346 0.9771 0.1893  2 P 1.63
O 0.7627 0.8060 0.0953  1 P 1.49
O 0.2373 0.1940 0.9047  1 P 1.49
O 0.4591 0.2874 0.6417  2 P 1.62-1.64
O 0.7579 0.0900 0.5269  2 P 1.62-1.63
Li 0.6752 0.5622 0.7668  4 O 2.05-2.25
O 0.7917 0.4193 0.5485  1 P 1.52
O 0.5654 0.0229 0.8107  2 P 1.63
H 0.0311 0.5874 0.8140  1 O 0.98
O 0.9305 0.0578 0.7634  1 P 1.51
O 0.2083 0.5807 0.4515  1 P 1.52
H 0.2721 0.7319 0.9952  1 O 1.00
O 0.1959 0.2145 0.3395  1 P 1.50
O 0.8041 0.7855 0.6605  1 P 1.50
H 0.0312 0.3904 0.8809  1 O 0.98
O 0.4477 0.6585 0.0936  1 P 1.51, 1 H 1.67
O 0.9788 0.4751 0.8035  2 H 0.98
Li 0.9289 0.6503 0.4183  3 O 2.06-2.19
O 0.8234 0.2260 0.0747  2 H 1.00-1.01
Li 0.3248 0.4378 0.2332  4 O 2.05-2.25
O 0.5523 0.3415 0.9064  1 P 1.51, 1 H 1.67
O 0.3952 0.6840 0.6554  1 P 1.49, 1 H 1.58
Cr 0.0000 0.0000 0.0000  6 O 2.07-2.31

***

Compound: Li3Cr2P4HO14
Source: the Materials Project database
Functional: GGA+U
Structure: relaxed

Properties
energy above the most stable polymorph in this dataset	0	meV/atom
space group	P-1 (2)
formation enthalpy at 0 K	-2497	meV/atom

Cell: 5.2646 5.1950 12.6093 Å, 78.42 103.56 117.80°
Last column: nearest neighbours and their distance in Å.
Sites, in units of the cell vectors:
O 0.6786 0.4445 0.4781  1 H 1.20
Cr 0.9628 0.1976 0.2370  4 O 2.04-2.15
O 0.7618 0.5638 0.8856  1 P 1.55
O 0.6585 0.5606 0.2750  2 P 1.63-1.64
O 0.3419 0.6977 0.8748  1 P 1.54
O 0.3415 0.4394 0.7250  2 P 1.63-1.64
P 0.4285 0.4673 0.8565  4 O 1.51-1.63
O 0.7680 0.1359 0.3716  1 P 1.53
H 0.5000 0.5000 0.5000  2 O 1.20
O 0.2382 0.4362 0.1144  1 P 1.55
P 0.5715 0.5327 0.1435  4 O 1.51-1.63
O 0.2320 0.8641 0.6284  1 P 1.53
Li 0.0000 0.0000 0.5000  2 O 2.01
P 0.4150 0.7084 0.6256  4 O 1.53-1.64
O 0.6581 0.3023 0.1252  1 P 1.54
O 0.7480 0.8381 0.0928  1 P 1.51
O 0.3214 0.5555 0.5219  1 H 1.20
Li 0.1820 0.7935 0.9969  2 O 1.94-2.15
O 0.2574 0.0973 0.3508  1 P 1.53
Cr 0.0372 0.8024 0.7630  4 O 2.04-2.15
P 0.5850 0.2916 0.3744  4 O 1.53-1.64
O 0.2520 0.1619 0.9072  1 P 1.51
Li 0.8180 0.2065 0.0031  2 O 1.94-2.15
O 0.7426 0.9027 0.6492  1 P 1.53

***

- Look up the formation enthalpy at 0 K of the first one.
  -1669 meV/atom